Model P:
# Li3MnO3 GGA+U relaxed
data_Li3MnO3
_chemical_formula_sum 'Li36 Mn12 O36'
_space_group_name_H-M_alt 'P 1'
_space_group_IT_number 1
_space_group_name_Hall 'P 1'
_cell_length_a 9.626
_cell_length_b 9.626
_cell_length_c 9.794
_cell_angle_alpha 90.00
_cell_angle_beta 90.00
_cell_angle_gamma 120.00
loop_
_atom_site_label
_atom_site_type_symbol
_atom_site_fract_x
_atom_site_fract_y
_atom_site_fract_z
_atom_site_occupancy
Li1 Li 0.083 0.898 0.173 1
Li2 Li 0.085 0.519 0.670 1
Li3 Li 0.102 0.185 0.173 1
Li4 Li 0.103 0.249 0.670 1
Li5 Li 0.145 0.571 0.173 1
Li6 Li 0.146 0.897 0.670 1
Li7 Li 0.185 0.102 0.827 1
Li8 Li 0.195 0.417 0.327 1
Li9 Li 0.222 0.805 0.327 1
Li10 Li 0.230 0.750 0.827 1
Li11 Li 0.249 0.103 0.330 1
Li12 Li 0.250 0.480 0.827 1
Li13 Li 0.417 0.195 0.673 1
Li14 Li 0.427 0.855 0.173 1
Li15 Li 0.429 0.573 0.173 1
Li16 Li 0.434 0.915 0.670 1
Li17 Li 0.480 0.250 0.173 1
Li18 Li 0.481 0.566 0.670 1
Li19 Li 0.519 0.085 0.330 1
Li20 Li 0.520 0.770 0.827 1
Li21 Li 0.566 0.481 0.330 1
Li22 Li 0.571 0.145 0.827 1
Li23 Li 0.573 0.429 0.827 1
Li24 Li 0.583 0.778 0.327 1
Li25 Li 0.750 0.230 0.173 1
Li26 Li 0.751 0.854 0.670 1
Li27 Li 0.770 0.520 0.173 1
Li28 Li 0.778 0.583 0.673 1
Li29 Li 0.805 0.222 0.673 1
Li30 Li 0.815 0.917 0.173 1
Li31 Li 0.854 0.751 0.330 1
Li32 Li 0.855 0.427 0.827 1
Li33 Li 0.897 0.146 0.330 1
Li34 Li 0.898 0.083 0.827 1
Li35 Li 0.915 0.434 0.330 1
Li36 Li 0.917 0.815 0.827 1
Mn1 Mn 0.000 0.000 0.500 1
Mn2 Mn 0.000 0.334 0.000 1
Mn3 Mn 0.000 0.666 0.500 1
Mn4 Mn 0.000 0.669 0.000 1
Mn5 Mn 0.331 0.331 0.000 1
Mn6 Mn 0.333 0.667 0.500 1
Mn7 Mn 0.334 0.000 0.000 1
Mn8 Mn 0.334 0.334 0.500 1
Mn9 Mn 0.666 0.000 0.500 1
Mn10 Mn 0.666 0.666 0.000 1
Mn11 Mn 0.667 0.333 0.500 1
Mn12 Mn 0.669 0.000 0.000 1
O1 O 0.081 0.528 0.880 1
O2 O 0.082 0.889 0.380 1
O3 O 0.111 0.193 0.380 1
O4 O 0.118 0.252 0.880 1
O5 O 0.134 0.882 0.880 1
O6 O 0.141 0.579 0.380 1
O7 O 0.190 0.778 0.121 1
O8 O 0.193 0.111 0.620 1
O9 O 0.220 0.746 0.620 1
O10 O 0.222 0.412 0.121 1
O11 O 0.252 0.118 0.120 1
O12 O 0.254 0.474 0.620 1
O13 O 0.412 0.222 0.879 1
O14 O 0.421 0.561 0.380 1
O15 O 0.439 0.859 0.380 1
O16 O 0.447 0.919 0.880 1
O17 O 0.472 0.553 0.880 1
O18 O 0.474 0.254 0.380 1
O19 O 0.526 0.780 0.620 1
O20 O 0.528 0.081 0.120 1
O21 O 0.553 0.472 0.120 1
O22 O 0.561 0.421 0.620 1
O23 O 0.579 0.141 0.620 1
O24 O 0.588 0.810 0.121 1
O25 O 0.746 0.220 0.380 1
O26 O 0.748 0.866 0.880 1
O27 O 0.778 0.190 0.879 1
O28 O 0.780 0.526 0.380 1
O29 O 0.807 0.918 0.380 1
O30 O 0.810 0.588 0.879 1
O31 O 0.859 0.439 0.620 1
O32 O 0.866 0.748 0.120 1
O33 O 0.882 0.134 0.120 1
O34 O 0.889 0.082 0.620 1
O35 O 0.918 0.807 0.620 1
O36 O 0.919 0.447 0.120 1
# SG ... P321 (150)

Model Q:
# Li3MnO3 GGA+U relaxed
data_Li3MnO3
_chemical_formula_sum 'Li12 Mn4 O12'
_space_group_name_H-M_alt 'P 1'
_space_group_IT_number 1
_space_group_name_Hall 'P 1'
_cell_length_a 9.134
_cell_length_b 9.134
_cell_length_c 3.536
_cell_angle_alpha 90.00
_cell_angle_beta 90.00
_cell_angle_gamma 90.00
loop_
_atom_site_label
_atom_site_type_symbol
_atom_site_fract_x
_atom_site_fract_y
_atom_site_fract_z
_atom_site_occupancy
Li1 Li 0.094 0.355 0.000 1
Li2 Li 0.145 0.594 0.500 1
Li3 Li 0.174 0.174 0.500 1
Li4 Li 0.326 0.674 0.000 1
Li5 Li 0.355 0.094 0.000 1
Li6 Li 0.406 0.855 0.500 1
Li7 Li 0.594 0.145 0.500 1
Li8 Li 0.645 0.906 0.000 1
Li9 Li 0.674 0.326 0.000 1
Li10 Li 0.826 0.826 0.500 1
Li11 Li 0.855 0.406 0.500 1
Li12 Li 0.906 0.645 0.000 1
Mn1 Mn 0.115 0.885 0.000 1
Mn2 Mn 0.385 0.385 0.500 1
Mn3 Mn 0.615 0.615 0.500 1
Mn4 Mn 0.885 0.115 0.000 1
O1 O 0.101 0.101 0.000 1
O2 O 0.113 0.679 0.000 1
O3 O 0.179 0.387 0.500 1
O4 O 0.321 0.887 0.000 1
O5 O 0.387 0.179 0.500 1
O6 O 0.399 0.601 0.500 1
O7 O 0.601 0.399 0.500 1
O8 O 0.613 0.821 0.500 1
O9 O 0.679 0.113 0.000 1
O10 O 0.821 0.613 0.500 1
O11 O 0.887 0.321 0.000 1
O12 O 0.899 0.899 0.000 1
# SG ... P4_2/mnm (136)

Quick one: most stable of them? model Q

Model P:
# Li3Mn2O4 GGA+U relaxed
data_Li3Mn2O4
_chemical_formula_sum 'Li6 Mn4 O8'
_space_group_name_H-M_alt 'P 1'
_space_group_IT_number 1
_space_group_name_Hall 'P 1'
_cell_length_a 5.948
_cell_length_b 5.948
_cell_length_c 6.374
_cell_angle_alpha 117.60
_cell_angle_beta 117.60
_cell_angle_gamma 90.26
loop_
_atom_site_label
_atom_site_type_symbol
_atom_site_fract_x
_atom_site_fract_y
_atom_site_fract_z
_atom_site_occupancy
Li1 Li 0.000 0.000 0.000 1
Li2 Li 0.000 0.000 0.500 1
Li3 Li 0.000 0.500 0.500 1
Li4 Li 0.134 0.866 0.750 1
Li5 Li 0.500 0.000 0.000 1
Li6 Li 0.866 0.134 0.250 1
Mn1 Mn 0.000 0.500 0.000 1
Mn2 Mn 0.500 0.000 0.500 1
Mn3 Mn 0.500 0.500 0.000 1
Mn4 Mn 0.500 0.500 0.500 1
O1 O 0.241 0.253 0.471 1
O2 O 0.253 0.241 0.971 1
O3 O 0.260 0.733 0.503 1
O4 O 0.267 0.740 0.997 1
O5 O 0.733 0.260 0.003 1
O6 O 0.740 0.267 0.497 1
O7 O 0.747 0.759 0.029 1
O8 O 0.759 0.747 0.529 1
# SG ... C2/c (15)

Model Q:
# Li3Mn2O4 GGA+U relaxed
data_Li3Mn2O4
_chemical_formula_sum 'Li6 Mn4 O8'
_space_group_name_H-M_alt 'P 1'
_space_group_IT_number 1
_space_group_name_Hall 'P 1'
_cell_length_a 6.136
_cell_length_b 6.136
_cell_length_c 6.136
_cell_angle_alpha 118.74
_cell_angle_beta 118.51
_cell_angle_gamma 92.39
loop_
_atom_site_label
_atom_site_type_symbol
_atom_site_fract_x
_atom_site_fract_y
_atom_site_fract_z
_atom_site_occupancy
Li1 Li 0.000 0.000 0.000 1
Li2 Li 0.367 0.117 0.250 1
Li3 Li 0.500 0.000 0.000 1
Li4 Li 0.500 0.000 0.500 1
Li5 Li 0.500 0.500 0.500 1
Li6 Li 0.633 0.883 0.750 1
Mn1 Mn 0.000 0.000 0.500 1
Mn2 Mn 0.000 0.500 0.000 1
Mn3 Mn 0.000 0.500 0.500 1
Mn4 Mn 0.500 0.500 0.000 1
O1 O 0.233 0.227 0.494 1
O2 O 0.233 0.740 0.006 1
O3 O 0.247 0.245 0.002 1
O4 O 0.257 0.755 0.502 1
O5 O 0.743 0.245 0.498 1
O6 O 0.753 0.755 0.998 1
O7 O 0.767 0.260 0.994 1
O8 O 0.767 0.773 0.506 1
# SG ... Imma (74)

Quick one: most stable of them? model P

Model P:
# Li7Mn17O32 GGA+U relaxed
data_Li7Mn17O32
_chemical_formula_sum 'Li7 Mn17 O32'
_space_group_name_H-M_alt 'P 1'
_space_group_IT_number 1
_space_group_name_Hall 'P 1'
_cell_length_a 10.042
_cell_length_b 10.042
_cell_length_c 8.197
_cell_angle_alpha 114.06
_cell_angle_beta 114.06
_cell_angle_gamma 109.44
loop_
_atom_site_label
_atom_site_type_symbol
_atom_site_fract_x
_atom_site_fract_y
_atom_site_fract_z
_atom_site_occupancy
Li1 Li 0.000 0.000 0.000 1
Li2 Li 0.124 0.374 0.500 1
Li3 Li 0.375 0.127 0.001 1
Li4 Li 0.500 0.500 0.000 1
Li5 Li 0.626 0.876 0.500 1
Li6 Li 0.750 0.250 0.500 1
Li7 Li 0.873 0.625 0.999 1
Mn1 Mn 0.061 0.687 0.753 1
Mn2 Mn 0.062 0.188 0.750 1
Mn3 Mn 0.186 0.065 0.500 1
Mn4 Mn 0.187 0.562 0.996 1
Mn5 Mn 0.250 0.750 0.500 1
Mn6 Mn 0.313 0.939 0.247 1
Mn7 Mn 0.314 0.435 0.249 1
Mn8 Mn 0.437 0.313 0.500 1
Mn9 Mn 0.438 0.813 0.004 1
Mn10 Mn 0.565 0.192 0.753 1
Mn11 Mn 0.565 0.686 0.751 1
Mn12 Mn 0.687 0.563 0.500 1
Mn13 Mn 0.691 0.066 0.004 1
Mn14 Mn 0.808 0.435 0.247 1
Mn15 Mn 0.812 0.938 0.250 1
Mn16 Mn 0.934 0.309 0.996 1
Mn17 Mn 0.935 0.814 0.500 1
O1 O 0.042 0.681 0.499 1
O2 O 0.055 0.168 0.499 1
O3 O 0.069 0.208 0.000 1
O4 O 0.083 0.695 0.002 1
O5 O 0.167 0.056 0.723 1
O6 O 0.180 0.543 0.224 1
O7 O 0.194 0.583 0.776 1
O8 O 0.208 0.070 0.277 1
O9 O 0.292 0.430 0.999 1
O10 O 0.305 0.917 0.998 1
O11 O 0.319 0.958 0.501 1
O12 O 0.333 0.445 0.501 1
O13 O 0.417 0.806 0.224 1
O14 O 0.430 0.293 0.723 1
O15 O 0.445 0.332 0.277 1
O16 O 0.457 0.820 0.776 1
O17 O 0.542 0.181 0.499 1
O18 O 0.555 0.667 0.499 1
O19 O 0.570 0.708 0.001 1
O20 O 0.581 0.194 0.999 1
O21 O 0.668 0.555 0.723 1
O22 O 0.681 0.043 0.224 1
O23 O 0.693 0.082 0.776 1
O24 O 0.707 0.570 0.277 1
O25 O 0.792 0.931 0.000 1
O26 O 0.806 0.419 0.001 1
O27 O 0.819 0.458 0.501 1
O28 O 0.832 0.945 0.501 1
O29 O 0.918 0.307 0.224 1
O30 O 0.930 0.792 0.723 1
O31 O 0.944 0.833 0.277 1
O32 O 0.957 0.319 0.776 1
# SG ... C2 (5)

Model Q:
# Li7Mn17O32 GGA+U relaxed
data_Li7Mn17O32
_chemical_formula_sum 'Li7 Mn17 O32'
_space_group_name_H-M_alt 'P 1'
_space_group_IT_number 1
_space_group_name_Hall 'P 1'
_cell_length_a 10.269
_cell_length_b 10.269
_cell_length_c 8.276
_cell_angle_alpha 113.65
_cell_angle_beta 113.65
_cell_angle_gamma 107.93
loop_
_atom_site_label
_atom_site_type_symbol
_atom_site_fract_x
_atom_site_fract_y
_atom_site_fract_z
_atom_site_occupancy
Li1 Li 0.000 0.000 0.000 1
Li2 Li 0.127 0.374 0.998 1
Li3 Li 0.372 0.121 0.496 1
Li4 Li 0.503 0.497 0.000 1
Li5 Li 0.626 0.873 0.002 1
Li6 Li 0.753 0.247 0.500 1
Li7 Li 0.879 0.628 0.504 1
Mn1 Mn 0.065 0.188 0.501 1
Mn2 Mn 0.067 0.692 0.002 1
Mn3 Mn 0.183 0.058 0.747 1
Mn4 Mn 0.190 0.560 0.753 1
Mn5 Mn 0.253 0.747 0.500 1
Mn6 Mn 0.308 0.933 0.998 1
Mn7 Mn 0.319 0.436 0.505 1
Mn8 Mn 0.433 0.305 0.245 1
Mn9 Mn 0.440 0.810 0.247 1
Mn10 Mn 0.562 0.182 0.996 1
Mn11 Mn 0.564 0.681 0.495 1
Mn12 Mn 0.691 0.062 0.752 1
Mn13 Mn 0.695 0.567 0.755 1
Mn14 Mn 0.812 0.935 0.499 1
Mn15 Mn 0.818 0.438 0.004 1
Mn16 Mn 0.938 0.309 0.248 1
Mn17 Mn 0.942 0.817 0.253 1
O1 O 0.061 0.699 0.236 1
O2 O 0.070 0.174 0.735 1
O3 O 0.087 0.220 0.287 1
O4 O 0.091 0.701 0.784 1
O5 O 0.162 0.046 0.494 1
O6 O 0.183 0.575 0.991 1
O7 O 0.190 0.544 0.506 1
O8 O 0.191 0.048 0.977 1
O9 O 0.299 0.909 0.216 1
O10 O 0.301 0.939 0.764 1
O11 O 0.310 0.442 0.733 1
O12 O 0.342 0.452 0.285 1
O13 O 0.415 0.274 0.981 1
O14 O 0.425 0.817 0.009 1
O15 O 0.435 0.322 0.490 1
O16 O 0.456 0.810 0.494 1
O17 O 0.526 0.161 0.209 1
O18 O 0.548 0.658 0.715 1
O19 O 0.558 0.690 0.267 1
O20 O 0.574 0.182 0.766 1
O21 O 0.678 0.565 0.510 1
O22 O 0.691 0.047 0.511 1
O23 O 0.693 0.077 0.995 1
O24 O 0.726 0.585 0.019 1
O25 O 0.780 0.913 0.713 1
O26 O 0.818 0.426 0.234 1
O27 O 0.826 0.930 0.265 1
O28 O 0.839 0.474 0.791 1
O29 O 0.923 0.307 0.005 1
O30 O 0.952 0.809 0.023 1
O31 O 0.953 0.309 0.489 1
O32 O 0.954 0.838 0.506 1
# SG ... C2 (5)

Quick one: most stable of them? model Q

Model P:
# Li5MnO5 GGA+U relaxed
data_Li5MnO5
_chemical_formula_sum 'Li5 Mn1 O5'
_space_group_name_H-M_alt 'P 1'
_space_group_IT_number 1
_space_group_name_Hall 'P 1'
_cell_length_a 3.924
_cell_length_b 5.147
_cell_length_c 5.782
_cell_angle_alpha 107.40
_cell_angle_beta 90.00
_cell_angle_gamma 112.40
loop_
_atom_site_label
_atom_site_type_symbol
_atom_site_fract_x
_atom_site_fract_y
_atom_site_fract_z
_atom_site_occupancy
Li1 Li 0.000 0.000 0.000 1
Li2 Li 0.013 0.034 0.468 1
Li3 Li 0.381 0.771 0.197 1
Li4 Li 0.402 0.805 0.664 1
Li5 Li 0.695 0.403 0.832 1
Mn1 Mn 0.699 0.402 0.332 1
O1 O 0.199 0.403 0.332 1
O2 O 0.546 0.094 0.018 1
O3 O 0.556 0.118 0.504 1
O4 O 0.840 0.687 0.159 1
O5 O 0.854 0.711 0.645 1
# SG ... P1 (1)

Model Q:
# Li5MnO5 GGA+U relaxed
data_Li5MnO5
_chemical_formula_sum 'Li5 Mn1 O5'
_space_group_name_H-M_alt 'P 1'
_space_group_IT_number 1
_space_group_name_Hall 'P 1'
_cell_length_a 5.065
_cell_length_b 5.065
_cell_length_c 5.659
_cell_angle_alpha 106.26
_cell_angle_beta 106.26
_cell_angle_gamma 48.07
loop_
_atom_site_label
_atom_site_type_symbol
_atom_site_fract_x
_atom_site_fract_y
_atom_site_fract_z
_atom_site_occupancy
Li1 Li 0.000 0.000 0.000 1
Li2 Li 0.318 0.280 0.164 1
Li3 Li 0.328 0.298 0.640 1
Li4 Li 0.702 0.672 0.360 1
Li5 Li 0.720 0.682 0.836 1
Mn1 Mn 0.074 0.926 0.500 1
O1 O 0.134 0.145 0.339 1
O2 O 0.179 0.133 0.814 1
O3 O 0.491 0.509 0.500 1
O4 O 0.855 0.866 0.661 1
O5 O 0.867 0.821 0.186 1
# SG ... C2 (5)

Quick one: most stable of them? model P